A plane-wave DFT calculation with PBE was carried out for crystalline Ba2YI7 at its relaxed geometry.

POSCAR file:
```
Ba2YI7
1.0
-11.1490 0.2696 13.9599
3.8114 -6.1481 3.1626
7.5106 7.5108 5.8532
I Ba Y
28 8 4
Cartesian
-2.7452 0.4589 10.1773 I
-8.9570 0.3456 14.1130 I
9.1300 1.2867 8.8628 I
2.9181 1.1735 12.7984 I
-0.2143 -1.5661 3.0644 I
-1.9136 -2.2857 7.5443 I
-4.8972 0.2407 16.5473 I
-1.1835 4.0039 12.0082 I
0.4822 -0.6251 18.1217 I
0.2781 7.1485 13.8821 I
-0.1052 -5.5161 9.0936 I
1.0918 2.2485 9.0577 I
-6.7472 3.4721 15.0500 I
-3.6440 4.3268 18.9314 I
6.9201 -1.8398 7.9257 I
1.3564 -2.3715 10.9676 I
-2.7148 -4.3940 14.4960 I
5.0701 1.3916 6.4285 I
0.3872 3.1985 19.9113 I
-0.3093 2.2575 4.8541 I
3.8169 -2.6945 4.0444 I
4.9991 3.0533 9.8640 I
-0.9188 -0.6162 13.9180 I
-1.2787 2.3395 16.2986 I
2.8877 6.0264 8.4797 I
-4.8261 -1.4210 13.1118 I
1.4516 -0.7071 6.6771 I
2.0866 3.9180 15.4314 I
-2.1386 -3.0154 11.1495 Ba
-0.5096 5.7075 17.3006 Ba
0.6825 -4.0752 5.6751 Ba
-2.6272 0.8426 19.3900 Ba
3.7885 -0.3041 9.4148 Ba
-3.6155 1.9364 13.5610 Ba
2.8002 0.7897 3.5858 Ba
2.3116 4.6477 11.8262 Ba
5.2677 4.5704 7.0370 Y
1.3896 0.7513 15.4482 Y
-5.0947 -2.9381 15.9388 Y
-1.2167 0.8810 7.5276 Y
```

energy with MP2020 corrections	-3.9671	eV/atom
excess energy over the best structure of this formula in the dataset	17	meV per atom
calculated total energy	-3.70	eV per atom
energy of formation	-18.7	eV per formula unit
spin magnetization	0.0	μB per cell

---

A plane-wave DFT calculation with PBE was carried out for crystalline BaIn2 at its relaxed geometry.

POSCAR file:
```
BaIn2
1.0
-2.6719 4.3293 4.3533
2.6719 -4.3293 4.3533
2.6719 4.3293 -4.3533
Ba In
2 4
Cartesian
2.6719 2.1647 -0.4233 Ba
0.0000 2.1647 4.7767 Ba
2.6719 3.7413 2.9444 In
0.0000 0.5880 1.4089 In
0.0000 3.7413 1.4089 In
2.6719 0.5880 2.9444 In
```

calculated total energy	-2.96	eV per atom
energy of formation	-1.4	eV per formula unit

---

A plane-wave DFT calculation with PBE was carried out for crystalline BaIn4 at its relaxed geometry.

POSCAR file:
```
BaIn4
1.0
-2.5299 2.5299 6.1367
2.5299 -2.5299 6.1367
2.5299 2.5299 -6.1367
In Ba
4 1
Cartesian
0.0000 0.0000 4.7048 In
2.5299 0.0000 3.0683 In
0.0000 2.5299 3.0683 In
0.0000 0.0000 7.5686 In
0.0000 0.0000 0.0000 Ba
```

calculated total energy	-2.94	eV per atom
energy of formation	-1.8	eV per formula unit

---

A plane-wave DFT calculation with PBE was carried out for crystalline BaIn4Ir at its relaxed geometry.

POSCAR file:
```
BaIn4Ir
1.0
4.4721 0.0000 0.0000
0.0000 8.0697 0.0000
0.0000 0.0000 8.7455
Ba Ir In
2 2 8
Cartesian
0.0000 4.9045 2.1864 Ba
0.0000 3.1652 6.5591 Ba
0.0000 1.4860 2.1864 Ir
0.0000 6.5837 6.5591 Ir
2.2361 2.4176 0.5976 In
0.0000 0.0000 0.0000 In
0.0000 0.0000 4.3727 In
2.2361 5.6521 8.1479 In
2.2361 7.6251 2.1864 In
2.2361 5.6521 4.9704 In
2.2361 2.4176 3.7751 In
2.2361 0.4446 6.5591 In
```

calculated total energy	-3.97	eV per atom
energy of formation	-2.1	eV per formula unit

---

A plane-wave DFT calculation with PBE was carried out for crystalline BaIn9Ir2 at its relaxed geometry.

POSCAR file:
```
BaIn9Ir2
1.0
4.5034 -7.8001 0.0000
4.5034 7.8001 0.0000
0.0000 0.0000 4.3584
Ba In Ir
1 9 2
Cartesian
0.0000 0.0000 0.0000 Ba
2.8062 -1.6201 2.1792 In
4.5034 -4.5598 2.1792 In
2.8062 1.6201 2.1792 In
2.2517 3.9001 0.0000 In
4.5034 0.0000 0.0000 In
2.2517 -3.9001 0.0000 In
6.2006 1.6201 2.1792 In
4.5034 4.5598 2.1792 In
6.2006 -1.6201 2.1792 In
4.5034 2.6000 0.0000 Ir
4.5034 -2.6000 0.0000 Ir
```

calculated total energy	-3.95	eV per atom
energy of formation	-3.0	eV per formula unit

---

A plane-wave DFT calculation with PBE was carried out for crystalline Ba2In13Ir4 at its relaxed geometry.

POSCAR file:
```
Ba2In13Ir4
1.0
2.2719 -14.7358 0.0000
2.2719 14.7358 0.0000
0.0000 0.0000 13.9186
In Ir Ba
26 8 4
Cartesian
2.2719 10.6236 3.1739 In
2.2719 4.5828 7.9645 In
2.2719 -8.0994 4.0124 In
2.2719 10.6987 12.6312 In
2.2719 -4.3380 10.1577 In
2.2719 -0.0747 8.9187 In
2.2719 13.6516 3.9938 In
2.2719 4.3380 3.1984 In
2.2719 -4.5828 1.0052 In
2.2719 -12.7324 7.9499 In
2.2719 -8.3895 12.2111 In
2.2719 12.7324 0.9906 In
2.2719 0.0747 1.9594 In
2.2719 3.3805 12.4564 In
2.2719 -12.6256 2.9913 In
2.2719 12.6256 9.9506 In
2.2719 -10.6236 10.1332 In
2.2719 8.0994 10.9717 In
2.2719 -10.2892 0.7967 In
2.2719 -10.6987 5.6719 In
2.2719 -13.6516 10.9531 In
2.2719 10.2892 7.7560 In
2.2719 -3.3805 5.4971 In
2.2719 -13.4091 13.8816 In
2.2719 13.4091 6.9223 In
2.2719 8.3895 5.2518 In
2.2719 5.4495 10.6395 Ir
2.2719 2.4143 9.7765 Ir
2.2719 -5.6390 12.4424 Ir
2.2719 -2.6081 8.1056 Ir
2.2719 5.6390 5.4831 Ir
2.2719 2.6081 1.1463 Ir
2.2719 -5.4495 3.6802 Ir
2.2719 -2.4143 2.8172 Ir
2.2719 7.3152 0.9999 Ba
2.2719 -1.1820 12.4426 Ba
2.2719 -7.3152 7.9592 Ba
2.2719 1.1820 5.4833 Ba
```

calculated total energy	-4.25	eV per atom
energy of formation	-5.8	eV per formula unit
spin magnetization	0.0	μB per cell

---

A plane-wave DFT calculation with PBE was carried out for crystalline Ba3InIrRuO9 at its relaxed geometry.

POSCAR file:
```
Ba3InIrRuO9
1.0
1.8189 5.1910 2.1545
-2.5718 -0.2554 -5.3120
-13.0062 1.9833 6.2015
Ir O In Ru Ba
2 18 2 2 6
Cartesian
-1.7724 3.7000 0.6802 Ir
-9.7390 2.8762 1.2921 Ir
-12.8306 4.9929 2.6871 O
-11.0416 1.4790 1.9899 O
-12.4695 2.6252 4.2018 O
-10.1953 3.8943 2.9924 O
-2.7443 5.4440 1.0669 O
-0.0250 4.4093 1.3724 O
-8.1617 1.9698 2.1443 O
-9.3927 1.8475 -0.3984 O
-5.5661 4.9458 0.8812 O
-3.5906 3.0287 0.0644 O
-0.8956 1.9246 0.3411 O
-8.5221 4.3323 0.6329 O
-2.3940 3.1475 2.5360 O
-11.3919 3.7755 0.5207 O
-4.3323 5.0683 3.4295 O
-13.7032 2.5027 1.6535 O
-1.2560 4.2871 -1.1703 O
-5.2049 2.5781 2.3959 O
-6.5050 0.9919 3.1016 In
-0.0019 0.0003 0.0009 In
-4.0422 4.0461 1.7625 Ru
-12.0089 3.2223 2.3744 Ru
-9.7453 1.4860 4.6466 Ba
-6.4933 2.3812 -0.2555 Ba
-7.3075 4.5440 3.3194 Ba
-11.5329 5.1884 5.3341 Ba
-2.2679 1.7369 -2.2702 Ba
-3.2422 0.4944 1.5459 Ba
```

energy with MP2020 corrections	-6.9553	eV/atom
calculated total energy	-6.54	eV per atom
energy of formation	-33.2	eV per formula unit
spin magnetization	4.0	μB per cell

---

A plane-wave DFT calculation with PBE was carried out for crystalline BaLa2In2O7 at its relaxed geometry.

POSCAR file:
```
BaLa2In2O7
1.0
-1.8062 5.5650 -1.3472
-5.6770 -1.5567 1.1810
2.6037 5.6906 20.0163
In Ba La O
8 4 8 28
Cartesian
-2.4034 5.2749 18.5489 In
-3.9823 6.3970 11.9227 In
-2.4762 4.4241 1.3012 In
-4.4770 0.7429 2.6081 In
-0.3671 4.4606 12.0029 In
-0.8972 3.3019 7.9275 In
-0.4026 8.9561 17.2421 In
-4.5124 5.2384 7.8472 In
-1.9344 1.0361 -0.0429 Ba
-1.4392 6.6904 9.2716 Ba
-5.5489 2.9722 -0.1232 Ba
-3.4404 3.0085 10.5786 Ba
0.0480 5.7452 16.2572 La
-3.0289 3.9325 14.3385 La
-0.8846 7.8777 12.9380 La
-4.9275 3.9537 3.5930 La
-3.9949 1.8213 6.9122 La
-3.2898 7.5331 16.1831 La
-1.5897 2.1659 3.6671 La
-1.8506 5.7664 5.5117 La
2.2555 4.9295 17.3392 O
-2.0915 5.6106 12.6022 O
0.3482 0.7611 2.6771 O
-1.2369 2.7220 12.9027 O
-0.6034 3.4376 1.6305 O
-2.4849 4.5064 3.6832 O
-4.8902 -0.1091 0.6671 O
-4.2652 7.3238 14.1002 O
-3.9608 5.6642 9.8913 O
-0.9811 7.7931 15.2438 O
-0.9187 4.0347 9.9589 O
0.0990 4.9728 7.0305 O
0.4855 4.7791 14.2057 O
-5.3651 4.9198 5.6445 O
1.5404 3.3667 11.8420 O
-1.8364 1.4119 8.2946 O
-3.8984 1.9059 4.6064 O
-2.5388 -0.1233 2.8946 O
-0.5345 4.2572 18.3028 O
-0.6144 2.3752 5.7500 O
-2.3946 5.1925 16.1670 O
1.4009 7.8181 17.0387 O
-2.7880 4.0884 7.2480 O
-3.5031 2.5255 1.7507 O
-2.5930 4.1174 -0.8333 O
1.0633 2.3240 8.1744 O
-1.3764 7.1735 18.0995 O
0.6985 6.2829 11.6386 O
```

energy with MP2020 corrections	-7.2618	eV/atom
calculated total energy	-6.86	eV per atom
energy of formation	-35.2	eV per formula unit
spin magnetization	0.2	μB per cell

---

A plane-wave DFT calculation with PBE was carried out for crystalline Ba2MgNbInO6 at its relaxed geometry.

POSCAR file:
```
Ba2MgNbInO6
1.0
5.7835 0.2887 3.8106
2.1990 5.3626 3.8131
0.4053 0.2893 6.9199
Ba O Mg In Nb
2 6 1 1 1
Cartesian
2.6424 1.8676 4.5755 Ba
6.1012 4.3145 10.5681 Ba
3.3232 4.1322 5.7556 O
5.0065 1.7555 5.7573 O
3.5572 4.3247 9.1159 O
6.1115 4.3267 7.6462 O
2.4829 1.7555 7.2111 O
5.2606 1.9198 9.1201 O
0.7702 0.5397 1.3260 Mg
4.2287 2.9899 7.3239 In
7.7568 5.4926 13.4477 Nb
```

energy with MP2020 corrections	-6.8303	eV/atom
excess energy over the best structure of this formula in the dataset	0	meV per atom
calculated total energy	-6.46	eV per atom
energy of formation	-27.2	eV per formula unit
spin magnetization	0.0	μB per cell

---

A plane-wave DFT calculation with PBE was carried out for crystalline Ba2MgNbInO6 at its relaxed geometry.

POSCAR file:
```
Ba2MgNbInO6
1.0
6.0829 0.6310 3.1656
2.6226 5.5246 3.1656
0.0000 0.0000 6.3311
Ba Mg In O Nb
2 1 1 6 1
Cartesian
7.1155 5.0314 9.4967 Ba
1.5900 1.1243 3.1656 Ba
4.3527 3.0778 3.1656 Mg
4.3527 3.0778 6.3311 In
5.2274 1.8409 8.1115 O
3.4781 4.3148 4.5507 O
1.6488 1.1659 6.3311 O
5.2274 1.8409 4.5507 O
3.4781 4.3148 8.1115 O
7.0566 4.9898 6.3311 O
0.0000 0.0000 0.0000 Nb
```

energy with MP2020 corrections	-6.7888	eV/atom
excess energy over the best structure of this formula in the dataset	42	meV per atom
calculated total energy	-6.41	eV per atom
energy of formation	-26.7	eV per formula unit
spin magnetization	0.0	μB per cell

---

A plane-wave DFT calculation with PBE was carried out for crystalline Ba3In2N4 at its relaxed geometry.

POSCAR file:
```
Ba3In2N4
1.0
7.7859 -0.0456 -0.0458
-5.9584 7.6141 0.0000
-0.1409 -0.1103 6.3973
Ba N In
6 8 4
Cartesian
-2.4021 2.9970 1.5993 Ba
-3.6972 4.5068 4.7980 Ba
5.6880 0.0330 5.9387 Ba
-4.0014 7.4252 0.4129 Ba
0.2167 1.8898 3.6116 Ba
1.4700 5.5684 2.7400 Ba
-3.7929 7.0589 3.2514 N
2.6931 3.0895 2.7006 N
3.5758 1.8162 5.8993 N
5.4796 0.3993 3.1002 N
-1.8892 5.6420 0.4523 N
-1.0064 4.3688 3.6510 N
1.6345 5.1677 6.2988 N
0.0522 2.2905 0.0528 N
-0.4104 4.3752 5.8094 In
3.4264 1.2392 3.7408 In
-1.7397 6.2190 2.6108 In
2.0971 3.0831 0.5421 In
```

energy with MP2020 corrections	-5.3312	eV/atom
excess energy over the best structure of this formula in the dataset	24	meV per atom
calculated total energy	-5.17	eV per atom
energy of formation	-3.4	eV per formula unit
spin magnetization	0.0	μB per cell

---

A plane-wave DFT calculation with PBE was carried out for crystalline Ba3In3N5 at its relaxed geometry.

POSCAR file:
```
Ba3In3N5
1.0
-3.0052 3.1386 -5.0023
-6.6737 -2.3529 3.4504
3.7517 7.0729 5.2890
In N Ba
6 10 6
Cartesian
-2.4032 4.4181 -2.4117 In
-6.3985 3.9879 2.6803 In
-4.7694 -1.1107 2.0668 In
-3.5240 3.4405 6.1487 In
-1.1578 8.9693 1.6703 In
0.4713 3.8707 1.0568 In
-0.7995 4.4315 -0.7878 N
-0.6067 3.1746 2.8439 N
-2.4476 7.5223 2.7862 N
-5.2005 -0.4012 4.1027 N
-3.4796 0.3363 0.9508 N
-5.3205 4.6839 0.8931 N
-5.1276 3.4271 4.5249 N
-3.2539 2.4252 -2.3187 N
-0.7267 8.2598 -0.3656 N
-2.6733 5.4333 6.0558 N
-2.9185 5.8718 0.5809 Ba
-0.3761 5.9088 3.7363 Ba
-4.4723 6.2294 4.2866 Ba
-3.0087 1.9868 3.1562 Ba
-1.4549 1.6291 -0.5495 Ba
-5.5511 1.9498 0.0008 Ba
```

energy with MP2020 corrections	-5.4069	eV/atom
calculated total energy	-5.24	eV per atom
energy of formation	-3.8	eV per formula unit
spin magnetization	0.0	μB per cell